# 1
# ZnS | Materials Project | PBE-GGA | optimized geometry
data_ZnS
_chemical_formula_sum 'Zn16 S16'
_space_group_name_H-M_alt 'P 63 m c'
_space_group_IT_number 186
_space_group_name_Hall 'P 6c -2c'
_cell_length_a 3.8539
_cell_length_b 3.8539
_cell_length_c 50.3906
_cell_angle_alpha 90.00
_cell_angle_beta 90.00
_cell_angle_gamma 120.00
loop_
_atom_site_label
_atom_site_fract_x
_atom_site_fract_y
_atom_site_fract_z
Zn1 0.0000 0.0000 0.0000
Zn2 0.0000 0.0000 0.1250
Zn3 0.0000 0.0000 0.3125
Zn4 0.3333 0.6667 0.0625
Zn5 0.3333 0.6667 0.2500
Zn6 0.3333 0.6667 0.4375
Zn7 0.3333 0.6667 0.6875
Zn8 0.3333 0.6667 0.8750
S1 0.0000 0.0000 0.0468
S2 0.0000 0.0000 0.1719
S3 0.0000 0.0000 0.3594
S4 0.3333 0.6667 0.1094
S5 0.3333 0.6667 0.2969
S6 0.3333 0.6667 0.4844
S7 0.3333 0.6667 0.7344
S8 0.3333 0.6667 0.9219
# raw total energy	-7.02	eV per formula unit
# formation enthalpy at 0 K	-1.06	eV/atom


# 2
# ZnS | Materials Project | PBE-GGA | optimized geometry
data_ZnS
_chemical_formula_sum 'Zn50 S50'
_space_group_name_H-M_alt 'P 1'
_space_group_IT_number 1
_cell_length_a 12.459
_cell_length_b 13.520
_cell_length_c 13.917
_cell_angle_alpha 88.89
_cell_angle_beta 88.44
_cell_angle_gamma 89.22
loop_
_space_group_symop_operation_xyz
'x,y,z'
loop_
_atom_site_label
_atom_site_fract_x
_atom_site_fract_y
_atom_site_fract_z
Zn1 0.000 0.000 0.000
Zn2 0.002 0.693 0.070
Zn3 0.039 0.523 0.960
Zn4 0.061 0.864 0.840
Zn5 0.063 0.729 0.459
Zn6 0.068 0.156 0.557
Zn7 0.096 0.484 0.479
Zn8 0.099 0.695 0.281
Zn9 0.102 0.124 0.242
Zn10 0.156 0.274 0.006
Zn11 0.193 0.111 0.936
Zn12 0.195 0.000 0.705
Zn13 0.201 0.847 0.409
Zn14 0.210 0.353 0.832
Zn15 0.220 0.791 0.781
Zn16 0.238 0.360 0.160
Zn17 0.250 0.882 0.101
Zn18 0.287 0.585 0.080
Zn19 0.345 0.212 0.789
Zn20 0.347 0.608 0.738
Zn21 0.354 0.208 0.195
Zn22 0.370 0.015 0.338
Zn23 0.386 0.179 0.544
Zn24 0.412 0.371 0.853
Zn25 0.415 0.782 0.557
Zn26 0.427 0.785 0.927
Zn27 0.439 0.363 0.109
Zn28 0.446 0.439 0.555
Zn29 0.456 0.987 0.777
Zn30 0.487 0.291 0.440
Zn31 0.556 0.967 0.093
Zn32 0.596 0.514 0.984
Zn33 0.623 0.575 0.713
Zn34 0.629 0.187 0.247
Zn35 0.638 0.383 0.531
Zn36 0.649 0.462 0.269
Zn37 0.670 0.239 0.860
Zn38 0.679 0.826 0.653
Zn39 0.731 0.105 0.562
Zn40 0.737 0.670 0.244
Zn41 0.787 0.097 0.214
Zn42 0.812 0.845 0.877
Zn43 0.814 0.567 0.489
Zn44 0.824 0.845 0.328
Zn45 0.826 0.457 0.842
Zn46 0.888 0.223 0.413
Zn47 0.891 0.543 0.085
Zn48 0.900 0.346 0.650
Zn49 0.922 0.941 0.631
Zn50 0.940 0.257 0.059
S1 0.005 0.319 0.506
S2 0.065 0.045 0.836
S3 0.069 0.283 0.173
S4 0.081 0.423 0.732
S5 0.100 0.904 0.588
S6 0.102 0.523 0.308
S7 0.128 0.005 0.473
S8 0.146 0.022 0.100
S9 0.179 0.722 0.126
S10 0.206 0.453 0.986
S11 0.237 0.162 0.650
S12 0.254 0.151 0.333
S13 0.257 0.492 0.257
S14 0.272 0.654 0.592
S15 0.287 0.527 0.508
S16 0.305 0.674 0.883
S17 0.346 0.886 0.686
S18 0.376 0.082 0.894
S19 0.381 0.855 0.399
S20 0.425 0.846 0.077
S21 0.459 0.536 0.101
S22 0.463 0.480 0.722
S23 0.477 0.077 0.207
S24 0.530 0.335 0.275
S25 0.538 0.232 0.727
S26 0.545 0.096 0.659
S27 0.548 0.343 0.961
S28 0.559 0.846 0.823
S29 0.578 0.702 0.598
S30 0.650 0.860 0.947
S31 0.656 0.829 0.264
S32 0.683 0.579 0.381
S33 0.685 0.944 0.518
S34 0.700 0.585 0.863
S35 0.704 0.239 0.456
S36 0.716 0.545 0.132
S37 0.717 0.100 0.963
S38 0.724 0.921 0.155
S39 0.755 0.471 0.618
S40 0.832 0.294 0.796
S41 0.834 0.882 0.483
S42 0.845 0.814 0.721
S43 0.856 0.110 0.042
S44 0.897 0.402 0.996
S45 0.900 0.107 0.630
S46 0.920 0.735 0.237
S47 0.935 0.094 0.315
S48 0.953 0.837 0.979
S49 0.980 0.607 0.541
S50 0.997 0.540 0.797
# raw total energy	-6.15	eV per formula unit
# formation enthalpy at 0 K	-0.63	eV/atom
# magnetization	0.000	μB per formula unit


# 3
# ZnS | Materials Project | PBE-GGA | optimized geometry
data_ZnS
_chemical_formula_sum 'Zn8 S8'
_space_group_name_H-M_alt 'P 63 m c'
_space_group_IT_number 186
_space_group_name_Hall 'P 6c -2c'
_cell_length_a 3.8534
_cell_length_b 3.8534
_cell_length_c 25.1896
_cell_angle_alpha 90.00
_cell_angle_beta 90.00
_cell_angle_gamma 120.00
loop_
_atom_site_label
_atom_site_fract_x
_atom_site_fract_y
_atom_site_fract_z
Zn1 0.0000 0.0000 0.0000
Zn2 0.3333 0.6667 0.1250
Zn3 0.3333 0.6667 0.3750
Zn4 0.3333 0.6667 0.7500
S1 0.0000 0.0000 0.0938
S2 0.3333 0.6667 0.2187
S3 0.3333 0.6667 0.4688
S4 0.3333 0.6667 0.8438
# raw total energy	-7.02	eV per formula unit
# largest piezoelectric modulus	0.098	C/m2
# formation enthalpy at 0 K	-1.06	eV/atom


# 4
# ZnS | Materials Project | PBE-GGA | optimized geometry
data_ZnS
_chemical_formula_sum 'Zn20 S20'
_space_group_name_H-M_alt 'P 3 m 1'
_space_group_IT_number 156
_cell_length_a 3.8537
_cell_length_b 3.8537
_cell_length_c 62.9874
_cell_angle_alpha 90.00
_cell_angle_beta 90.00
_cell_angle_gamma 120.00
loop_
_space_group_symop_operation_xyz
'x,y,z'
'-y,x-y,z'
'-x+y,-x,z'
'-y,-x,z'
'-x+y,y,z'
'x,x-y,z'
loop_
_atom_site_label
_atom_site_fract_x
_atom_site_fract_y
_atom_site_fract_z
Zn1 0.0000 0.0000 0.0000
Zn2 0.0000 0.0000 0.1000
Zn3 0.0000 0.0000 0.2000
Zn4 0.0000 0.0000 0.4000
Zn5 0.0000 0.0000 0.5500
Zn6 0.0000 0.0000 0.7000
Zn7 0.0000 0.0000 0.8500
Zn8 0.3333 0.6667 0.1500
Zn9 0.3333 0.6667 0.3000
Zn10 0.3333 0.6667 0.4500
Zn11 0.3333 0.6667 0.6000
Zn12 0.3333 0.6667 0.8000
Zn13 0.3333 0.6667 0.9500
Zn14 0.6667 0.3333 0.0500
Zn15 0.6667 0.3333 0.2500
Zn16 0.6667 0.3333 0.3500
Zn17 0.6667 0.3333 0.5000
Zn18 0.6667 0.3333 0.6500
Zn19 0.6667 0.3333 0.7500
Zn20 0.6667 0.3333 0.9000
S1 0.0000 0.0000 0.0375
S2 0.0000 0.0000 0.1375
S3 0.0000 0.0000 0.2375
S4 0.0000 0.0000 0.4375
S5 0.0000 0.0000 0.5875
S6 0.0000 0.0000 0.7375
S7 0.0000 0.0000 0.8875
S8 0.3333 0.6667 0.1875
S9 0.3333 0.6667 0.3375
S10 0.3333 0.6667 0.4875
S11 0.3333 0.6667 0.6375
S12 0.3333 0.6667 0.8375
S13 0.3333 0.6667 0.9875
S14 0.6667 0.3333 0.0875
S15 0.6667 0.3333 0.2875
S16 0.6667 0.3333 0.3875
S17 0.6667 0.3333 0.5375
S18 0.6667 0.3333 0.6875
S19 0.6667 0.3333 0.7875
S20 0.6667 0.3333 0.9375
# raw total energy	-7.02	eV per formula unit
# formation enthalpy at 0 K	-1.06	eV/atom


# 5
# ZnS | Materials Project | PBE-GGA | optimized geometry
data_ZnS
_chemical_formula_sum 'Zn50 S50'
_space_group_name_H-M_alt 'P 1'
_space_group_IT_number 1
_cell_length_a 13.263
_cell_length_b 13.322
_cell_length_c 13.589
_cell_angle_alpha 90.33
_cell_angle_beta 93.91
_cell_angle_gamma 92.56
loop_
_space_group_symop_operation_xyz
'x,y,z'
loop_
_atom_site_label
_atom_site_fract_x
_atom_site_fract_y
_atom_site_fract_z
Zn1 0.000 0.000 0.000
Zn2 0.005 0.586 0.633
Zn3 0.008 0.806 0.816
Zn4 0.010 0.477 0.862
Zn5 0.016 0.318 0.624
Zn6 0.091 0.952 0.232
Zn7 0.114 0.516 0.200
Zn8 0.125 0.266 0.886
Zn9 0.134 0.718 0.689
Zn10 0.144 0.390 0.425
Zn11 0.145 0.080 0.407
Zn12 0.147 0.628 0.514
Zn13 0.160 0.976 0.752
Zn14 0.196 0.893 0.553
Zn15 0.206 0.626 0.950
Zn16 0.260 0.462 0.708
Zn17 0.272 0.054 0.878
Zn18 0.341 0.969 0.310
Zn19 0.374 0.653 0.211
Zn20 0.377 0.728 0.584
Zn21 0.386 0.059 0.584
Zn22 0.403 0.865 0.074
Zn23 0.411 0.251 0.841
Zn24 0.429 0.470 0.480
Zn25 0.469 0.230 0.328
Zn26 0.485 0.906 0.874
Zn27 0.488 0.241 0.141
Zn28 0.523 0.496 0.818
Zn29 0.574 0.934 0.430
Zn30 0.590 0.758 0.456
Zn31 0.621 0.720 0.001
Zn32 0.626 0.144 0.738
Zn33 0.629 0.153 0.247
Zn34 0.637 0.555 0.353
Zn35 0.640 0.283 0.496
Zn36 0.686 0.209 0.023
Zn37 0.734 0.606 0.593
Zn38 0.738 0.276 0.355
Zn39 0.753 0.896 0.557
Zn40 0.755 0.428 0.655
Zn41 0.760 0.938 0.890
Zn42 0.771 0.578 0.773
Zn43 0.801 0.199 0.192
Zn44 0.806 0.594 0.189
Zn45 0.822 0.946 0.315
Zn46 0.882 0.280 0.053
Zn47 0.885 0.821 0.123
Zn48 0.901 0.158 0.862
Zn49 0.913 0.455 0.394
Zn50 0.988 0.793 0.391
S1 0.013 0.175 0.008
S2 0.031 0.225 0.413
S3 0.049 0.868 0.092
S4 0.050 0.869 0.652
S5 0.067 0.538 0.372
S6 0.159 0.777 0.425
S7 0.174 0.353 0.248
S8 0.178 0.762 0.852
S9 0.181 0.354 0.588
S10 0.184 0.476 0.860
S11 0.210 0.070 0.563
S12 0.218 0.072 0.258
S13 0.223 0.621 0.118
S14 0.276 0.220 0.939
S15 0.317 0.572 0.571
S16 0.327 0.390 0.236
S17 0.352 0.516 0.325
S18 0.359 0.876 0.641
S19 0.391 0.829 0.235
S20 0.411 0.008 0.983
S21 0.419 0.392 0.740
S22 0.455 0.053 0.422
S23 0.455 0.114 0.741
S24 0.456 0.752 0.959
S25 0.463 0.304 0.481
S26 0.539 0.292 0.994
S27 0.566 0.651 0.229
S28 0.576 0.585 0.501
S29 0.624 0.876 0.779
S30 0.639 0.589 0.113
S31 0.642 0.605 0.863
S32 0.644 0.027 0.125
S33 0.646 0.972 0.660
S34 0.718 0.262 0.652
S35 0.734 0.015 0.432
S36 0.734 0.117 0.884
S37 0.763 0.465 0.302
S38 0.774 0.802 0.991
S39 0.801 0.020 0.160
S40 0.812 0.743 0.529
S41 0.850 0.756 0.275
S42 0.908 0.448 0.997
S43 0.908 0.452 0.565
S44 0.928 0.289 0.304
S45 0.930 0.960 0.844
S46 0.939 0.626 0.790
S47 0.952 0.182 0.530
S48 0.953 0.553 0.108
S49 0.981 0.301 0.790
S50 0.994 0.968 0.366
# raw total energy	-6.16	eV per formula unit
# formation enthalpy at 0 K	-0.63	eV/atom
# magnetization	0.000	μB per formula unit


# 6
# ZnS | Materials Project | PBE-GGA | optimized geometry
data_ZnS
_chemical_formula_sum 'Zn36 S36'
_space_group_name_H-M_alt 'R 3 m'
_space_group_IT_number 160
_space_group_name_Hall 'R 3 -2"'
_cell_length_a 3.8584
_cell_length_b 3.8584
_cell_length_c 113.3171
_cell_angle_alpha 90.00
_cell_angle_beta 90.00
_cell_angle_gamma 120.00
loop_
_atom_site_label
_atom_site_fract_x
_atom_site_fract_y
_atom_site_fract_z
Zn1 0.0000 0.0000 0.0000
Zn2 0.0000 0.0000 0.0556
Zn3 0.0000 0.0000 0.1111
Zn4 0.0000 0.0000 0.1945
Zn5 0.0000 0.0000 0.2778
Zn6 0.0000 0.0000 0.3611
Zn7 0.0000 0.0000 0.4722
Zn8 0.0000 0.0000 0.5833
Zn9 0.0000 0.0000 0.6389
Zn10 0.0000 0.0000 0.7500
Zn11 0.0000 0.0000 0.8333
Zn12 0.0000 0.0000 0.8889
S1 0.0000 0.0000 0.0348
S2 0.0000 0.0000 0.0903
S3 0.0000 0.0000 0.1736
S4 0.0000 0.0000 0.2569
S5 0.0000 0.0000 0.3403
S6 0.0000 0.0000 0.4514
S7 0.0000 0.0000 0.5625
S8 0.0000 0.0000 0.6181
S9 0.0000 0.0000 0.7292
S10 0.0000 0.0000 0.8125
S11 0.0000 0.0000 0.8681
S12 0.0000 0.0000 0.9792
# raw total energy	-7.00	eV per formula unit
# formation enthalpy at 0 K	-1.05	eV/atom
# magnetization	0.000	μB per formula unit


# 7
# ZnS | Materials Project | PBE-GGA | optimized geometry
data_ZnS
_chemical_formula_sum 'Zn50 S50'
_space_group_name_H-M_alt 'P 1'
_space_group_IT_number 1
_cell_length_a 12.768
_cell_length_b 12.908
_cell_length_c 14.408
_cell_angle_alpha 85.73
_cell_angle_beta 87.83
_cell_angle_gamma 89.73
loop_
_space_group_symop_operation_xyz
'x,y,z'
loop_
_atom_site_label
_atom_site_fract_x
_atom_site_fract_y
_atom_site_fract_z
Zn1 0.000 0.000 0.000
Zn2 0.001 0.433 0.063
Zn3 0.021 0.969 0.572
Zn4 0.083 0.812 0.660
Zn5 0.098 0.527 0.714
Zn6 0.106 0.663 0.412
Zn7 0.139 0.323 0.270
Zn8 0.160 0.354 0.897
Zn9 0.184 0.157 0.753
Zn10 0.225 0.901 0.458
Zn11 0.237 0.057 0.025
Zn12 0.260 0.892 0.861
Zn13 0.267 0.612 0.883
Zn14 0.273 0.434 0.558
Zn15 0.289 0.178 0.412
Zn16 0.295 0.970 0.623
Zn17 0.313 0.602 0.181
Zn18 0.398 0.656 0.425
Zn19 0.405 0.406 0.375
Zn20 0.416 0.757 0.686
Zn21 0.426 0.254 0.890
Zn22 0.434 0.887 0.193
Zn23 0.448 0.241 0.589
Zn24 0.453 0.279 0.175
Zn25 0.560 0.594 0.184
Zn26 0.581 0.455 0.034
Zn27 0.589 0.109 0.373
Zn28 0.600 0.794 0.055
Zn29 0.610 0.474 0.772
Zn30 0.626 0.900 0.550
Zn31 0.649 0.849 0.291
Zn32 0.661 0.141 0.062
Zn33 0.667 0.669 0.937
Zn34 0.673 0.448 0.617
Zn35 0.724 0.487 0.142
Zn36 0.733 0.735 0.627
Zn37 0.753 0.110 0.696
Zn38 0.763 0.870 0.795
Zn39 0.776 0.570 0.358
Zn40 0.788 0.084 0.952
Zn41 0.796 0.781 0.027
Zn42 0.864 0.785 0.509
Zn43 0.888 0.219 0.249
Zn44 0.898 0.041 0.299
Zn45 0.919 0.656 0.851
Zn46 0.925 0.289 0.605
Zn47 0.946 0.649 0.154
Zn48 0.963 0.499 0.533
Zn49 0.980 0.184 0.955
Zn50 0.995 0.149 0.753
S1 0.037 0.289 0.160
S2 0.072 0.598 0.042
S3 0.078 0.687 0.786
S4 0.102 0.845 0.361
S5 0.140 0.553 0.550
S6 0.162 0.904 0.995
S7 0.187 0.063 0.512
S8 0.221 0.347 0.396
S9 0.231 0.554 0.049
S10 0.248 0.470 0.799
S11 0.258 0.649 0.324
S12 0.259 0.203 0.923
S13 0.265 0.793 0.594
S14 0.288 0.280 0.645
S15 0.297 0.026 0.176
S16 0.314 0.029 0.764
S17 0.314 0.169 0.236
S18 0.369 0.753 0.841
S19 0.405 0.964 0.407
S20 0.432 0.453 0.219
S21 0.438 0.500 0.501
S22 0.438 0.728 0.119
S23 0.460 0.993 0.537
S24 0.464 0.825 0.362
S25 0.469 0.231 0.429
S26 0.521 0.283 0.023
S27 0.543 0.552 0.902
S28 0.557 0.731 0.587
S29 0.577 0.281 0.802
S30 0.604 0.938 0.148
S31 0.605 0.246 0.664
S32 0.620 0.194 0.220
S33 0.630 0.665 0.313
S34 0.657 0.963 0.700
S35 0.699 0.968 0.401
S36 0.731 0.313 0.228
S37 0.734 0.420 0.460
S38 0.761 0.693 0.784
S39 0.829 0.188 0.816
S40 0.847 0.604 0.996
S41 0.855 0.913 0.921
S42 0.860 0.804 0.177
S43 0.869 0.505 0.230
S44 0.887 0.358 0.452
S45 0.909 0.114 0.600
S46 0.922 0.640 0.431
S47 0.936 0.433 0.686
S48 0.940 0.945 0.159
S49 0.967 0.917 0.417
S50 0.985 0.361 0.923
# raw total energy	-6.15	eV per formula unit
# formation enthalpy at 0 K	-0.63	eV/atom
# magnetization	0.000	μB per formula unit